(i)
Material: Ce
Method: DFT, PBE
State: optimized geometry

```
Ce
1.0
1.662 2.886 0.000
-1.662 2.886 0.000
0.000 1.928 5.440
Ce
2
Direct
0.745 0.745 0.250
0.255 0.255 0.750
```

Summary:
Symmetry: C2/m



(ii)
Material: Ce
Method: DFT, PBE
State: optimized geometry

```
Ce
1.0
1.594 -3.086 0.000
1.594 3.086 0.000
0.000 0.000 5.281
Ce
2
Direct
0.899 0.101 0.750
0.101 0.899 0.250
```

Summary:
Symmetry: Cmcm



(iii)
Material: Ce
Method: DFT, PBE
State: optimized geometry

```
Ce
1.0
-2.463 -1.180 1.799
-0.957 2.751 -1.486
0.864 -2.211 -2.250
Ce
1
Direct
0.000 0.000 0.000
```

Summary:
Symmetry: Im-3m



Most stable: (i) (next structure +0.040 eV/atom)



(i)
Material: Ce
Method: DFT, PBE
State: optimized geometry

```
Ce
1.0
1.685 -2.918 0.000
1.685 2.918 0.000
0.000 0.000 11.174
Ce
4
Direct
0.000 0.000 0.000
0.333 0.667 0.250
0.000 0.000 0.500
0.667 0.333 0.750
```

Summary:
Symmetry: P6_3/mmc



(ii)
Material: Ce
Method: DFT, PBE
State: optimized geometry

```
Ce
1.0
-1.597 1.329 2.513
1.692 -2.757 0.417
4.677 3.074 1.346
Ce
2
Direct
0.333 0.667 0.750
0.667 0.333 0.250
```

Summary:
Symmetry: P6_3/mmc



Most stable: (i) (next structure +0.039 eV/atom)



(i)
Material: Ce4Si4N7ClO3
Method: DFT, PBE
State: optimized geometry

```
Ce4Si4N7ClO3
1.0
9.791 0.000 0.000
0.000 10.507 0.000
0.000 0.000 10.869
Ce Si N Cl O
16 16 28 4 12
Direct
0.064 0.196 0.671
0.095 0.550 0.420
0.158 0.683 0.063
0.218 0.967 0.303
0.282 0.467 0.697
0.342 0.183 0.937
0.405 0.050 0.580
0.436 0.696 0.329
0.564 0.804 0.829
0.595 0.450 0.080
0.658 0.317 0.437
0.718 0.033 0.197
0.782 0.533 0.803
0.842 0.817 0.563
0.905 0.950 0.920
0.936 0.304 0.171
0.059 0.706 0.773
0.051 0.425 0.925
0.212 0.264 0.413
0.240 0.412 0.175
0.260 0.912 0.825
0.288 0.764 0.587
0.449 0.925 0.075
0.441 0.206 0.227
0.559 0.294 0.727
0.551 0.575 0.575
0.712 0.736 0.087
0.740 0.588 0.325
0.760 0.088 0.675
0.788 0.236 0.913
0.949 0.075 0.425
0.941 0.794 0.273
0.048 0.561 0.841
0.125 0.698 0.624
0.115 0.453 0.070
0.130 0.815 0.878
0.116 0.128 0.447
0.142 0.354 0.295
0.199 0.361 0.541
0.301 0.861 0.459
0.358 0.854 0.705
0.384 0.628 0.553
0.370 0.315 0.122
0.385 0.953 0.930
0.375 0.198 0.376
0.452 0.061 0.159
0.548 0.439 0.659
0.625 0.302 0.876
0.615 0.547 0.430
0.630 0.185 0.622
0.616 0.872 0.053
0.642 0.646 0.205
0.699 0.639 0.959
0.801 0.139 0.041
0.858 0.146 0.795
0.884 0.372 0.947
0.870 0.685 0.378
0.885 0.047 0.570
0.875 0.802 0.124
0.952 0.939 0.341
0.111 0.087 0.076
0.389 0.587 0.924
0.611 0.913 0.424
0.889 0.413 0.576
0.105 0.742 0.263
0.152 0.322 0.848
0.194 0.051 0.779
0.306 0.551 0.221
0.348 0.822 0.152
0.395 0.242 0.737
0.605 0.258 0.237
0.652 0.678 0.652
0.694 0.949 0.721
0.806 0.449 0.279
0.848 0.178 0.348
0.895 0.758 0.763
```

Summary:
Symmetry: P2_12_12_1



(ii)
Material: Ce4Si4N7ClO3
Method: DFT, PBE
State: optimized geometry

```
Ce4Si4N7ClO3
1.0
10.590 0.000 0.000
0.000 10.393 0.000
0.000 0.000 10.458
Ce Si N Cl O
16 16 28 4 12
Direct
0.042 0.814 0.690
0.102 0.107 0.110
0.180 0.195 0.450
0.188 0.456 0.188
0.312 0.544 0.688
0.320 0.805 0.950
0.398 0.893 0.610
0.458 0.186 0.190
0.542 0.686 0.310
0.602 0.393 0.890
0.680 0.305 0.550
0.688 0.044 0.812
0.812 0.956 0.312
0.820 0.695 0.050
0.898 0.607 0.390
0.958 0.314 0.810
0.071 0.572 0.929
0.077 0.748 0.197
0.195 0.081 0.744
0.246 0.304 0.919
0.254 0.696 0.419
0.305 0.919 0.244
0.423 0.252 0.697
0.429 0.428 0.429
0.571 0.928 0.071
0.577 0.752 0.803
0.695 0.419 0.256
0.746 0.196 0.081
0.754 0.804 0.581
0.805 0.581 0.756
0.923 0.248 0.303
0.929 0.072 0.571
0.056 0.635 0.078
0.077 0.288 0.262
0.076 0.055 0.636
0.129 0.652 0.325
0.136 0.422 0.943
0.153 0.174 0.872
0.177 0.872 0.153
0.323 0.128 0.653
0.347 0.826 0.372
0.364 0.578 0.443
0.371 0.348 0.825
0.424 0.945 0.136
0.423 0.712 0.762
0.444 0.365 0.578
0.556 0.865 0.922
0.577 0.212 0.738
0.576 0.445 0.364
0.629 0.848 0.675
0.636 0.078 0.057
0.653 0.326 0.128
0.677 0.628 0.847
0.823 0.372 0.347
0.847 0.674 0.628
0.864 0.922 0.557
0.871 0.152 0.175
0.924 0.555 0.864
0.923 0.788 0.238
0.944 0.135 0.422
0.071 0.429 0.575
0.429 0.571 0.075
0.571 0.071 0.425
0.929 0.929 0.925
0.160 0.666 0.835
0.209 0.736 0.568
0.233 0.930 0.789
0.267 0.070 0.289
0.291 0.264 0.068
0.340 0.334 0.335
0.660 0.834 0.165
0.709 0.764 0.432
0.733 0.570 0.211
0.767 0.430 0.711
0.791 0.236 0.932
0.840 0.166 0.665
```

Summary:
Symmetry: P2_12_12_1



Most stable: (ii) (next structure +0.043 eV/atom)



(i)
Material: CeCl3O3
Method: DFT, PBE
State: optimized geometry

```
CeCl3O3
1.0
6.788 0.000 0.000
0.000 8.429 0.000
0.000 0.000 12.222
Ce Cl O
4 12 12
Direct
0.881 0.750 0.986
0.619 0.750 0.486
0.119 0.250 0.014
0.381 0.250 0.514
0.998 0.750 0.221
0.502 0.750 0.721
0.002 0.250 0.779
0.498 0.250 0.279
0.815 0.046 0.082
0.685 0.454 0.582
0.185 0.546 0.918
0.315 0.954 0.418
0.185 0.954 0.918
0.315 0.546 0.418
0.815 0.454 0.082
0.685 0.046 0.582
0.581 0.750 0.972
0.919 0.750 0.472
0.419 0.250 0.028
0.081 0.250 0.528
0.725 0.623 0.836
0.775 0.877 0.336
0.275 0.123 0.164
0.225 0.377 0.664
0.275 0.377 0.164
0.225 0.123 0.664
0.725 0.877 0.836
0.775 0.623 0.336
```

Summary:
Symmetry: Pnma



(ii)
Material: CeCl3O3
Method: DFT, PBE
State: optimized geometry

```
CeCl3O3
1.0
-6.227 0.000 0.000
-0.002 8.677 0.000
-0.023 0.033 -13.523
Ce Cl O
4 12 12
Direct
0.433 0.250 0.468
0.068 0.250 0.968
0.568 0.750 0.532
0.932 0.750 0.032
0.683 0.250 0.316
0.817 0.250 0.816
0.317 0.750 0.684
0.183 0.750 0.184
0.323 0.556 0.411
0.178 0.945 0.911
0.678 0.055 0.589
0.822 0.445 0.089
0.678 0.444 0.589
0.822 0.055 0.089
0.322 0.945 0.411
0.178 0.555 0.911
0.142 0.249 0.492
0.358 0.248 0.992
0.857 0.751 0.508
0.642 0.751 0.008
0.272 0.180 0.690
0.226 0.322 0.192
0.728 0.679 0.309
0.772 0.820 0.810
0.728 0.821 0.310
0.772 0.679 0.809
0.273 0.321 0.691
0.229 0.180 0.190
```

Summary:
Symmetry: P1



Most stable: (ii) (next structure +0.309 eV/atom)



(i)
Material: CeTeCl
Method: DFT, PBE
State: optimized geometry

```
CeTeCl
1.0
4.492 0.000 0.000
0.000 4.492 0.000
0.000 0.000 8.261
Ce Te Cl
2 2 2
Direct
0.000 0.500 0.759
0.500 0.000 0.241
0.000 0.500 0.363
0.500 0.000 0.637
0.000 0.000 0.000
0.500 0.500 0.000
```

Summary:
Symmetry: P4/nmm



(ii)
Material: CeTeCl
Method: DFT, PBE
State: optimized geometry

```
CeTeCl
1.0
-2.699 0.020 -3.580
6.243 -1.287 -4.714
-1.248 -9.308 0.888
Ce Te Cl
4 4 4
Direct
0.250 0.238 0.633
0.250 0.738 0.867
0.750 0.762 0.367
0.750 0.262 0.133
0.250 0.462 0.332
0.250 0.962 0.168
0.750 0.538 0.668
0.750 0.038 0.832
0.250 0.865 0.561
0.250 0.365 0.939
0.750 0.135 0.439
0.750 0.635 0.061
```

Summary:
Symmetry: Pnma



Most stable: (ii) (next structure +0.007 eV/atom)



(i)
Material: CeMn4Co8
Method: DFT, PBE
State: optimized geometry

```
CeMn4Co8
1.0
0.606 -4.425 0.911
4.918 -2.346 -3.266
3.942 -0.796 4.918
Ce Mn Co
1 4 8
Direct
0.000 0.000 0.000
0.000 0.000 0.500
0.500 0.000 0.500
0.500 0.500 0.000
0.000 0.500 0.000
0.000 0.358 0.642
0.000 0.642 0.358
0.642 0.358 0.358
0.358 0.642 0.642
0.500 0.772 0.228
0.500 0.228 0.772
0.728 0.772 0.772
0.272 0.228 0.228
```

Summary:
Symmetry: I4/mmm



(ii)
Material: CeMn4Co8
Method: DFT, PBE
State: optimized geometry

```
CeMn4Co8
1.0
0.000 0.000 4.697
-4.227 4.227 2.348
-4.227 -4.227 -2.348
Ce Mn Co
1 4 8
Direct
0.000 0.000 0.000
0.733 0.767 0.233
0.267 0.233 0.767
0.500 0.767 0.767
0.500 0.233 0.233
0.500 0.000 0.500
0.000 0.000 0.500
0.500 0.500 0.000
0.000 0.500 0.000
0.637 0.363 0.637
0.363 0.637 0.363
0.000 0.363 0.363
0.000 0.637 0.637
```

Summary:
Symmetry: I4/mmm



Most stable: (i) (next structure +0.008 eV/atom)



(i)
Material: Ce3Co8Si
Method: DFT, PBE
State: optimized geometry

```
Ce3Co8Si
1.0
0.527 4.663 -1.669
-0.737 -3.728 -3.219
-15.627 2.155 1.081
Ce Co Si
6 16 2
Direct
0.333 0.667 0.960
0.667 0.333 0.040
0.667 0.333 0.460
0.333 0.667 0.540
0.333 0.667 0.750
0.667 0.333 0.250
0.166 0.834 0.370
0.166 0.333 0.370
0.667 0.834 0.370
0.834 0.166 0.630
0.834 0.667 0.630
0.333 0.166 0.630
0.834 0.166 0.870
0.834 0.667 0.870
0.333 0.166 0.870
0.166 0.834 0.130
0.166 0.333 0.130
0.667 0.834 0.130
0.333 0.667 0.250
0.667 0.333 0.750
0.000 0.000 0.500
0.000 0.000 0.000
0.000 0.000 0.250
0.000 0.000 0.750
```

Summary:
Symmetry: P6_3/mmc



(ii)
Material: Ce3Co8Si
Method: DFT, PBE
State: optimized geometry

```
Ce3Co8Si
1.0
2.528 -4.378 0.000
2.528 4.378 0.000
0.000 0.000 15.402
Ce Co Si
6 16 2
Direct
0.333 0.667 0.548
0.667 0.333 0.452
0.667 0.333 0.048
0.333 0.667 0.952
0.333 0.667 0.750
0.667 0.333 0.250
0.167 0.334 0.126
0.833 0.666 0.874
0.666 0.833 0.126
0.833 0.666 0.626
0.334 0.167 0.874
0.167 0.334 0.374
0.167 0.833 0.126
0.334 0.167 0.626
0.833 0.167 0.874
0.666 0.833 0.374
0.833 0.167 0.626
0.167 0.833 0.374
0.000 0.000 0.250
0.000 0.000 0.750
0.333 0.667 0.250
0.667 0.333 0.750
0.000 0.000 0.000
0.000 0.000 0.500
```

Summary:
Symmetry: P6_3/mmc



Most stable: (i) (next structure +0.024 eV/atom)